Entry 1:
Material: NaMn4As3O12
Method: DFT, GGA+U
State: relaxed

abc: 9.1215 9.1215 6.9231
angles: 107.14 107.14 93.54
Positions (direct):
Na (0.0121, 0.9879, 0.7500)
Na (0.9879, 0.0121, 0.2500)
Mn (0.0628, 0.3740, 0.6344)
Mn (0.2647, 0.7353, 0.2500)
Mn (0.3740, 0.0628, 0.1344)
Mn (0.5000, 0.5000, 0.0000)
Mn (0.5000, 0.5000, 0.5000)
Mn (0.6260, 0.9372, 0.8656)
Mn (0.7353, 0.2647, 0.7500)
Mn (0.9372, 0.6260, 0.3656)
As (0.1219, 0.3423, 0.1318)
As (0.2919, 0.7081, 0.7500)
As (0.3423, 0.1219, 0.6318)
As (0.6577, 0.8781, 0.3682)
As (0.7081, 0.2919, 0.2500)
As (0.8781, 0.6577, 0.8682)
O (0.0090, 0.6681, 0.1118)
O (0.0400, 0.4060, 0.3284)
O (0.1570, 0.1596, 0.6072)
O (0.1596, 0.1570, 0.1072)
O (0.1770, 0.7419, 0.5270)
O (0.2581, 0.8230, 0.9730)
O (0.2848, 0.5243, 0.7796)
O (0.2918, 0.4764, 0.2048)
O (0.3319, 0.9910, 0.3882)
O (0.4060, 0.0400, 0.8284)
O (0.4764, 0.2918, 0.7048)
O (0.4757, 0.7152, 0.7204)
O (0.5243, 0.2848, 0.2796)
O (0.5236, 0.7082, 0.2952)
O (0.5940, 0.9600, 0.1716)
O (0.6681, 0.0090, 0.6118)
O (0.7082, 0.5236, 0.7952)
O (0.7152, 0.4757, 0.2204)
O (0.7419, 0.1770, 0.0270)
O (0.8230, 0.2581, 0.4730)
O (0.8404, 0.8430, 0.8928)
O (0.8430, 0.8404, 0.3928)
O (0.9600, 0.5940, 0.6716)
O (0.9910, 0.3319, 0.8882)

Properties
calculated volume = 519 Å³ per cell
crystal system = monoclinic
symmetry = C2/c (15)



Entry 2:
Material: Ba2TaMnO6
Method: DFT, GGA+U
State: relaxed

abc: 8.0061 10.3783 8.0040
angles: 67.32 90.00 112.69
Positions (direct):
Ba (0.7499, 0.5000, 0.7499)
Ba (0.2500, 0.5000, 0.2501)
Ba (0.4999, 0.0000, 0.4998)
Ba (0.0000, 0.0000, 0.0002)
Ba (0.2500, 0.5000, 0.7499)
Ba (0.7500, 0.5000, 0.2501)
Ba (0.0000, 0.0000, 0.4998)
Ba (0.4999, 0.0000, 0.0002)
Ta (0.1250, 0.7500, 0.3750)
Ta (0.6251, 0.7502, 0.8749)
Ta (0.8749, 0.2499, 0.1251)
Ta (0.3750, 0.2499, 0.6250)
Mn (0.1249, 0.7497, 0.8750)
Mn (0.3754, 0.2507, 0.1245)
Mn (0.6250, 0.7500, 0.3749)
Mn (0.8746, 0.2494, 0.6253)
O (0.0105, 0.5211, 0.4895)
O (0.5106, 0.5213, 0.9894)
O (0.7605, 0.0212, 0.2394)
O (0.2607, 0.0213, 0.7394)
O (0.2393, 0.9787, 0.2607)
O (0.7395, 0.9789, 0.7605)
O (0.9894, 0.4788, 0.0106)
O (0.4895, 0.4788, 0.5105)
O (0.3779, 0.7498, 0.3751)
O (0.8781, 0.7501, 0.8749)
O (0.1281, 0.2501, 0.1249)
O (0.6281, 0.2499, 0.6250)
O (0.8719, 0.7498, 0.3751)
O (0.3720, 0.7501, 0.8750)
O (0.6219, 0.2501, 0.1250)
O (0.1219, 0.2499, 0.6251)
O (0.1251, 0.7500, 0.1219)
O (0.6251, 0.7502, 0.6217)
O (0.8747, 0.2494, 0.8722)
O (0.3752, 0.2506, 0.3716)
O (0.1250, 0.7500, 0.6281)
O (0.6251, 0.7502, 0.1281)
O (0.8747, 0.2494, 0.3785)
O (0.3752, 0.2506, 0.8778)

Properties
calculated volume = 557 Å³ per cell



Entry 3:
Material: Li3MoP2O8
Method: DFT, GGA+U
State: relaxed

abc: 4.9923 9.1075 7.9301
angles: 90.00 124.97 90.00
Positions (direct):
Li (0.0000, 0.0000, 0.0000)
Li (0.0000, 0.5000, 0.5000)
Li (0.3231, 0.1441, 0.8081)
Li (0.3231, 0.3559, 0.3081)
Li (0.6769, 0.6441, 0.6919)
Li (0.6769, 0.8559, 0.1919)
Mo (0.5000, 0.0000, 0.5000)
Mo (0.5000, 0.5000, 0.0000)
P (0.1984, 0.6827, 0.2238)
P (0.1984, 0.8173, 0.7238)
P (0.8016, 0.1827, 0.2762)
P (0.8016, 0.3173, 0.7762)
O (0.1282, 0.1345, 0.4788)
O (0.1282, 0.3655, 0.9788)
O (0.1670, 0.6469, 0.7436)
O (0.1670, 0.8531, 0.2436)
O (0.2549, 0.6015, 0.4099)
O (0.2549, 0.8985, 0.9099)
O (0.4889, 0.6520, 0.2049)
O (0.4889, 0.8480, 0.7049)
O (0.5111, 0.1520, 0.2951)
O (0.5111, 0.3480, 0.7951)
O (0.7451, 0.1015, 0.0901)
O (0.7451, 0.3985, 0.5901)
O (0.8330, 0.1469, 0.7564)
O (0.8330, 0.3531, 0.2564)
O (0.8718, 0.6345, 0.0212)
O (0.8718, 0.8655, 0.5212)

Properties
offset from the most stable computed form = 4 meV/atom
calculated volume = 295 Å³ per cell
crystal system = monoclinic
symmetry = P2_1/c (14)



Entry 4:
Material: Fe3P2O11
Method: DFT, GGA+U
State: relaxed

abc: 7.8798 9.6367 9.6938
angles: 90.00 90.00 90.00
Positions (direct):
Fe (0.0000, 0.0000, 0.0000)
Fe (0.0000, 0.0000, 0.5000)
Fe (0.1363, 0.4559, 0.1186)
Fe (0.1363, 0.5441, 0.6186)
Fe (0.3637, 0.0441, 0.6186)
Fe (0.3637, 0.9559, 0.1186)
Fe (0.5000, 0.5000, 0.0000)
Fe (0.5000, 0.5000, 0.5000)
Fe (0.6363, 0.0441, 0.8814)
Fe (0.6363, 0.9559, 0.3814)
Fe (0.8637, 0.4559, 0.3814)
Fe (0.8637, 0.5441, 0.8814)
P (0.2155, 0.2886, 0.3933)
P (0.2155, 0.7114, 0.8933)
P (0.2845, 0.2114, 0.8933)
P (0.2845, 0.7886, 0.3933)
P (0.7155, 0.2114, 0.6067)
P (0.7155, 0.7886, 0.1067)
P (0.7845, 0.2886, 0.1067)
P (0.7845, 0.7114, 0.6067)
O (0.0000, 0.4584, 0.7500)
O (0.0000, 0.5416, 0.2500)
O (0.0838, 0.3838, 0.4707)
O (0.0838, 0.6162, 0.9707)
O (0.1036, 0.1545, 0.9116)
O (0.1036, 0.8455, 0.4116)
O (0.1436, 0.0310, 0.1497)
O (0.1436, 0.9690, 0.6497)
O (0.1746, 0.2882, 0.2373)
O (0.1746, 0.7118, 0.7373)
O (0.2091, 0.1390, 0.4531)
O (0.2091, 0.8610, 0.9531)
O (0.2909, 0.3610, 0.9531)
O (0.2909, 0.6390, 0.4531)
O (0.3254, 0.2118, 0.7373)
O (0.3254, 0.7882, 0.2373)
O (0.3564, 0.4690, 0.6497)
O (0.3564, 0.5310, 0.1497)
O (0.3964, 0.3455, 0.4116)
O (0.3964, 0.6545, 0.9116)
O (0.4162, 0.1162, 0.9707)
O (0.4162, 0.8838, 0.4707)
O (0.5000, 0.0416, 0.2500)
O (0.5000, 0.9584, 0.7500)
O (0.5838, 0.1162, 0.5293)
O (0.5838, 0.8838, 0.0293)
O (0.6036, 0.3455, 0.0884)
O (0.6036, 0.6545, 0.5884)
O (0.6436, 0.4690, 0.8503)
O (0.6436, 0.5310, 0.3503)
O (0.6746, 0.2118, 0.7627)
O (0.6746, 0.7882, 0.2627)
O (0.7091, 0.3610, 0.5469)
O (0.7091, 0.6390, 0.0469)
O (0.7909, 0.1390, 0.0469)
O (0.7909, 0.8610, 0.5469)
O (0.8254, 0.2882, 0.2627)
O (0.8254, 0.7118, 0.7627)
O (0.8564, 0.0310, 0.3503)
O (0.8564, 0.9690, 0.8503)
O (0.8964, 0.1545, 0.5884)
O (0.8964, 0.8455, 0.0884)
O (0.9162, 0.3838, 0.0293)
O (0.9162, 0.6162, 0.5293)

Properties
calculated volume = 736 Å³ per cell
crystal system = orthorhombic
symmetry = Pbcn (60)



Entry 5:
Material: BaSrNdFeO6
Method: DFT, GGA+U
State: relaxed

abc: 5.9237 5.9237 5.9237
angles: 60.00 60.00 60.00
Positions (direct):
Ba (0.0000, 0.0000, 0.0000)
Sr (0.5000, 0.5000, 0.5000)
Nd (0.2500, 0.2500, 0.2500)
Fe (0.7500, 0.7500, 0.7500)
O (0.5232, 0.5232, 0.9768)
O (0.5232, 0.9768, 0.5232)
O (0.5232, 0.9768, 0.9768)
O (0.9768, 0.5232, 0.5232)
O (0.9768, 0.5232, 0.9768)
O (0.9768, 0.9768, 0.5232)

Properties
calculated volume = 147 Å³ per cell
crystal system = cubic
symmetry = F-43m (216)



Entry 6:
Material: LiLa4CoO8
Method: DFT, GGA+U
State: relaxed

abc: 7.0182 7.5508 7.5507
angles: 90.09 105.56 105.56
Positions (direct):
Li (0.0000, 0.7500, 0.7500)
Li (0.0000, 0.2500, 0.2500)
La (0.7250, 0.4310, 0.9310)
La (0.7250, 0.9310, 0.4310)
La (0.2750, 0.5690, 0.0690)
La (0.2750, 0.0690, 0.5690)
La (0.2763, 0.5692, 0.5691)
La (0.2763, 0.0692, 0.0691)
La (0.7237, 0.4308, 0.4309)
La (0.7237, 0.9308, 0.9309)
Co (0.0000, 0.7500, 0.2500)
Co (0.0000, 0.2500, 0.7500)
O (0.3629, 0.8407, 0.8407)
O (0.3629, 0.3407, 0.3407)
O (0.6371, 0.1593, 0.1593)
O (0.6371, 0.6593, 0.6593)
O (0.6409, 0.6603, 0.1603)
O (0.6409, 0.1603, 0.6603)
O (0.3591, 0.3397, 0.8397)
O (0.3591, 0.8397, 0.3397)
O (0.9999, 0.4949, 0.7507)
O (0.9999, 0.9949, 0.2507)
O (0.0000, 0.7492, 0.0051)
O (0.0000, 0.2492, 0.5051)
O (0.0001, 0.5051, 0.2493)
O (0.0001, 0.0051, 0.7493)
O (0.0000, 0.2508, 0.9949)
O (0.0000, 0.7508, 0.4949)

Properties
offset from the most stable computed form = 0 meV/atom
calculated volume = 370 Å³ per cell



Calculated values (eV per atom) of calculated formation energy for the records, taken in order: -1.971; -3.072; -2.591; -1.809; -2.594; -3.232.